Entry 1:
Density functional theory data (PBE-GGA) for an optimized crystal structure of Sr5La6Nb4O24.

Cell: 16.581 16.741 11.736 Å, 90.00 134.76 90.00°
Space group C2/c (No. 15)
Symmetry-distinct sites (fractional):
Sr  0.000  0.116  0.250 [4 per cell]
Sr  0.000  0.126  0.750 [4 per cell]
Sr  0.000  0.365  0.750 [4 per cell]
Sr  0.234  0.116  0.779 [8 per cell]
La  0.022  0.285  0.482 [8 per cell]
La  0.204  0.134  0.186 [8 per cell]
La  0.208  0.464  0.434 [8 per cell]
Nb  0.000  0.000  0.000 [4 per cell]
Nb  0.000  0.500  0.000 [4 per cell]
Nb  0.250  0.250  0.000 [4 per cell]
Nb  0.250  0.250  0.500 [4 per cell]
O  0.005  0.119  0.539 [8 per cell]
O  0.082  0.409  0.164 [8 per cell]
O  0.104  0.474  0.969 [8 per cell]
O  0.112  0.424  0.682 [8 per cell]
O  0.118  0.223  0.260 [8 per cell]
O  0.123  0.026  0.243 [8 per cell]
O  0.127  0.271  0.000 [8 per cell]
O  0.131  0.005  0.521 [8 per cell]
O  0.141  0.258  0.760 [8 per cell]
O  0.171  0.342  0.508 [8 per cell]
O  0.177  0.174  0.535 [8 per cell]
O  0.215  0.132  0.980 [8 per cell]

Output
* energy of formation from the pure elements: -3.50 eV per atom
* size of the total moment: 0.001 μB per formula unit
* crystal system: monoclinic
* electronic total energy: -8.138 eV per atom



Entry 2:
Density functional theory data (PBE-GGA) for an optimized crystal structure of CaLu2S4.

Cell: 12.791 3.836 12.988 Å, 90.00 90.00 90.00°
Space group Pnma (No. 62)
Symmetry-distinct sites (fractional):
Ca  0.131  0.250  0.083 [4 per cell]
Lu  0.107  0.750  0.417 [4 per cell]
Lu  0.147  0.750  0.798 [4 per cell]
S  0.031  0.250  0.880 [4 per cell]
S  0.034  0.750  0.618 [4 per cell]
S  0.218  0.750  0.238 [4 per cell]
S  0.242  0.250  0.473 [4 per cell]

Output
* energy of formation from the pure elements: -2.38 eV per atom
* crystal system: orthorhombic
* electronic total energy: -6.038 eV per atom



Entry 3:
Density functional theory data (PBE-GGA) for an optimized crystal structure of La2CuSnO6.

Cell: 7.856 7.845 8.716 Å, 90.00 91.91 90.00°
Space group P2_1/m (No. 11)
Symmetry-distinct sites (fractional):
La  0.203  0.250  0.246 [2 per cell]
La  0.229  0.250  0.806 [2 per cell]
La  0.285  0.750  0.773 [2 per cell]
La  0.286  0.750  0.210 [2 per cell]
Cu  0.000  0.000  0.000 [2 per cell]
Cu  0.500  0.000  0.000 [2 per cell]
Sn  0.000  0.000  0.500 [2 per cell]
Sn  0.500  0.000  0.500 [2 per cell]
O  0.036  0.750  0.030 [2 per cell]
O  0.056  0.557  0.727 [4 per cell]
O  0.080  0.250  0.546 [2 per cell]
O  0.248  0.542  0.418 [4 per cell]
O  0.249  0.036  0.040 [4 per cell]
O  0.438  0.054  0.723 [4 per cell]
O  0.470  0.750  0.993 [2 per cell]
O  0.478  0.250  0.411 [2 per cell]

Output
* energy of formation from the pure elements: -2.77 eV per atom
* size of the total moment: 0.369 μB per formula unit
* crystal system: monoclinic
* electronic total energy: -7.128 eV per atom



Entry 4:
Density functional theory data (PBE-GGA) for an optimized crystal structure of CuSiO3.

Cell: 8.958 2.860 4.918 Å, 90.00 90.00 90.00°
Space group Pmma (No. 51)
Symmetry-distinct sites (fractional):
Cu  0.000  0.000  0.000 [2 per cell]
Si  0.250  0.500  0.378 [2 per cell]
O  0.097  0.500  0.196 [4 per cell]
O  0.250  0.000  0.555 [2 per cell]

Output
* energy of formation from the pure elements: -2.25 eV per atom
* size of the total moment: 1.006 μB per formula unit
* crystal system: orthorhombic
* electronic total energy: -6.711 eV per atom



Entry 5:
Density functional theory data (PBE-GGA) for an optimized crystal structure of ErPtF7.

Cell: 8.819 5.516 11.929 Å, 90.00 117.43 90.00°
Space group P2_1/c (No. 14)
Symmetry-distinct sites (fractional):
Er  0.186  0.239  0.264 [4 per cell]
Pt  0.272  0.741  0.043 [4 per cell]
F  0.022  0.747  0.949 [4 per cell]
F  0.030  0.583  0.733 [4 per cell]
F  0.254  0.550  0.176 [4 per cell]
F  0.276  0.035  0.137 [4 per cell]
F  0.276  0.063  0.457 [4 per cell]
F  0.297  0.563  0.415 [4 per cell]
F  0.477  0.223  0.358 [4 per cell]

Output
* energy of formation from the pure elements: -2.92 eV per atom
* crystal system: monoclinic
* electronic total energy: -5.230 eV per atom



Entry 6:
Density functional theory data (PBE-GGA) for an optimized crystal structure of TiMoP2.

Cell: 3.2397 3.2397 6.5207 Å, 90.00 90.00 120.00°
Space group P-3m1 (No. 164)
Symmetry-distinct sites (fractional):
Ti  0.0000  0.0000  0.0000 [1 per cell]
Mo  0.0000  0.0000  0.5000 [1 per cell]
P  0.3333  0.6667  0.7496 [2 per cell]

Output
* energy of formation from the pure elements: -0.85 eV per atom
* size of the total moment: 0.000 μB per formula unit
* crystal system: trigonal
* electronic total energy: -8.246 eV per atom



Entry 7:
Density functional theory data (PBE-GGA) for an optimized crystal structure of Th5Sn4.

Cell: 9.7099 9.7099 6.5888 Å, 90.00 90.00 120.00°
Space group P6_3/mcm (No. 193)
Symmetry-distinct sites (fractional):
Th  0.0000  0.2793  0.2500 [6 per cell]
Th  0.3333  0.6667  0.0000 [4 per cell]
Sn  0.0000  0.0000  0.0000 [2 per cell]
Sn  0.0000  0.3811  0.7500 [6 per cell]

Output
* energy of formation from the pure elements: -0.59 eV per atom
* crystal system: hexagonal
* energy relative to the lowest polymorph listed for this composition: 0.000 eV/atom
* electronic total energy: -6.491 eV per atom



Entry 8:
Density functional theory data (PBE-GGA) for an optimized crystal structure of Na3GaP8O23.

Cell: 12.120 12.120 12.120 Å, 90.00 90.00 90.00°
Space group P4_132 (No. 213)
Symmetry-distinct sites (fractional):
Na  0.044  0.294  0.125 [12 per cell]
Ga  0.125  0.625  0.875 [4 per cell]
P  0.018  0.018  0.018 [8 per cell]
P  0.069  0.362  0.854 [24 per cell]
O  0.011  0.820  0.563 [24 per cell]
O  0.012  0.406  0.422 [24 per cell]
O  0.017  0.375  0.733 [12 per cell]
O  0.037  0.121  0.637 [24 per cell]
O  0.088  0.088  0.088 [8 per cell]

Output
* energy of formation from the pure elements: -2.59 eV per atom
* size of the total moment: 0.001 μB per formula unit
* crystal system: cubic
* electronic total energy: -6.830 eV per atom



Question: What is the formula in the third record?
Answer: La2CuSnO6



Repeat the first record exactly.
Density functional theory data (PBE-GGA) for an optimized crystal structure of Sr5La6Nb4O24.

Cell: 16.581 16.741 11.736 Å, 90.00 134.76 90.00°
Space group C2/c (No. 15)
Symmetry-distinct sites (fractional):
Sr  0.000  0.116  0.250 [4 per cell]
Sr  0.000  0.126  0.750 [4 per cell]
Sr  0.000  0.365  0.750 [4 per cell]
Sr  0.234  0.116  0.779 [8 per cell]
La  0.022  0.285  0.482 [8 per cell]
La  0.204  0.134  0.186 [8 per cell]
La  0.208  0.464  0.434 [8 per cell]
Nb  0.000  0.000  0.000 [4 per cell]
Nb  0.000  0.500  0.000 [4 per cell]
Nb  0.250  0.250  0.000 [4 per cell]
Nb  0.250  0.250  0.500 [4 per cell]
O  0.005  0.119  0.539 [8 per cell]
O  0.082  0.409  0.164 [8 per cell]
O  0.104  0.474  0.969 [8 per cell]
O  0.112  0.424  0.682 [8 per cell]
O  0.118  0.223  0.260 [8 per cell]
O  0.123  0.026  0.243 [8 per cell]
O  0.127  0.271  0.000 [8 per cell]
O  0.131  0.005  0.521 [8 per cell]
O  0.141  0.258  0.760 [8 per cell]
O  0.171  0.342  0.508 [8 per cell]
O  0.177  0.174  0.535 [8 per cell]
O  0.215  0.132  0.980 [8 per cell]

Output
* energy of formation from the pure elements: -3.50 eV per atom
* size of the total moment: 0.001 μB per formula unit
* crystal system: monoclinic
* electronic total energy: -8.138 eV per atom